DFT (PBE) results for LuB4 after structural relaxation.

a = 7.0269 Å, b = 7.0269 Å, c = 3.9682 Å
α = 90.00°, β = 90.00°, γ = 90.00°
Sites, in units of the cell vectors:
B  0.0000  0.0000  0.7976
B  0.9134  0.4134  0.5000
B  0.3229  0.5385  0.5000
B  0.4134  0.0866  0.5000
B  0.8229  0.9615  0.5000
B  0.5000  0.5000  0.2024
Lu  0.3183  0.8183  0.0000
Lu  0.8183  0.6817  0.0000
B  0.0866  0.5866  0.5000
B  0.1771  0.0385  0.5000
B  0.0000  0.0000  0.2024
B  0.0385  0.8229  0.5000
B  0.5866  0.9134  0.5000
Lu  0.1817  0.3183  0.0000
B  0.5000  0.5000  0.7976
Lu  0.6817  0.1817  0.0000
B  0.5385  0.6771  0.5000
B  0.6771  0.4615  0.5000
B  0.4615  0.3229  0.5000
B  0.9615  0.1771  0.5000

Output
E_form: -54 kJ/mol of atoms

=====

DFT (PBE) results for Mg6GaFe after structural relaxation.

a = 4.8686 Å, b = 6.0884 Å, c = 10.5850 Å
α = 90.00°, β = 90.00°, γ = 90.00°
Sites, in units of the cell vectors:
Mg  0.5000  0.7513  0.4169
Fe  0.5000  0.0000  0.1675
Mg  0.0000  0.2586  0.5877
Mg  0.0000  0.7586  0.0877
Ga  0.5000  0.5000  0.1679
Mg  0.0000  0.5000  0.3306
Fe  0.5000  0.5000  0.6675
Ga  0.5000  0.0000  0.6679
Mg  0.0000  0.0000  0.3250
Mg  0.0000  0.7414  0.5877
Mg  0.5000  0.2487  0.4169
Mg  0.0000  0.5000  0.8250
Mg  0.5000  0.2513  0.9169
Mg  0.0000  0.0000  0.8306
Mg  0.5000  0.7487  0.9169
Mg  0.0000  0.2414  0.0877

Output
ΔE to the lowest computed polymorph: 0.04 eV/f.u.
E_form: 10 kJ/mol of atoms

=====

DFT (PBE) results for TlRe3Se4Cl2 after structural relaxation.

a = 6.6856 Å, b = 9.1122 Å, c = 9.1645 Å
α = 85.23°, β = 82.56°, γ = 69.44°
Sites, in units of the cell vectors:
Se  0.2021  0.9952  0.2914
Se  0.6397  0.1482  0.2456
Re  0.2728  0.9239  0.0221
Se  0.5357  0.6571  0.0944
Cl  0.9026  0.5894  0.7610
Se  0.7979  0.0048  0.7086
Tl  0.1788  0.6404  0.4692
Cl  0.0974  0.4106  0.2390
Se  0.4643  0.3429  0.9056
Tl  0.8212  0.3596  0.5308
Re  0.5915  0.8976  0.1792
Re  0.3256  0.1784  0.1043
Cl  0.7048  0.7610  0.4130
Re  0.4085  0.1024  0.8208
Se  0.0254  0.2101  0.9450
Cl  0.2952  0.2390  0.5870
Se  0.3603  0.8518  0.7544
Se  0.9746  0.7899  0.0550
Re  0.6744  0.8216  0.8957
Re  0.7272  0.0761  0.9779

Output
E_form: -70 kJ/mol of atoms

=====

DFT (PBE) results for PaAgTe2 after structural relaxation.

a = 5.2645 Å, b = 5.2645 Å, c = 5.2645 Å
α = 60.00°, β = 60.00°, γ = 60.00°
Sites, in units of the cell vectors:
Pa  0.0000  0.0000  0.0000
Ag  0.5000  0.5000  0.5000
Te  0.2500  0.2500  0.2500
Te  0.7500  0.7500  0.7500

Output
E_form: -57 kJ/mol of atoms

=====

DFT (PBE) results for Li2NbO3 after structural relaxation.

a = 3.0362 Å, b = 3.0362 Å, c = 8.1106 Å
α = 90.00°, β = 90.00°, γ = 120.00°
Sites, in units of the cell vectors:
O  0.0000  0.0000  0.5000
Nb  0.0000  0.0000  0.0000
Li  0.6667  0.3333  0.3948
O  0.6667  0.3333  0.8537
Li  0.3333  0.6667  0.6052
O  0.3333  0.6667  0.1463

Output
E_form: -220 kJ/mol of atoms

=====

DFT (PBE) results for La2CN2O2 after structural relaxation.

a = 6.9572 Å, b = 6.8980 Å, c = 4.0861 Å
α = 73.64°, β = 72.06°, γ = 34.30°
Sites, in units of the cell vectors:
N  0.8047  0.1953  0.4836
La  0.8482  0.8499  0.1518
C  0.4740  0.5260  0.5260
La  0.1501  0.1518  0.8499
N  0.5164  0.4836  0.1953
O  0.2533  0.2467  0.2467
O  0.7533  0.7467  0.7467

Output
E_form: -165 kJ/mol of atoms

=====

DFT (PBE) results for LaAg2 after structural relaxation.

a = 4.8983 Å, b = 6.0669 Å, c = 6.0669 Å
α = 75.80°, β = 66.19°, γ = 66.19°
Sites, in units of the cell vectors:
La  0.4620  0.7880  0.2880
Ag  0.8348  0.6180  0.7124
Ag  0.1652  0.3820  0.2876
La  0.5380  0.2120  0.7120
Ag  0.1652  0.7876  0.8820
Ag  0.8348  0.2124  0.1180

Output
E_form: -29 kJ/mol of atoms

=====

DFT (PBE) results for RbIn6Au4 after structural relaxation.

a = 4.5528 Å, b = 8.3136 Å, c = 8.3136 Å
α = 120.00°, β = 90.00°, γ = 90.00°
Sites, in units of the cell vectors:
Au  0.5000  0.4121  0.2061
Au  0.0000  0.3333  0.6667
In  0.5000  0.1980  0.8020
In  0.0000  0.5347  0.4653
In  0.0000  0.5347  0.0695
Au  0.5000  0.7939  0.5879
In  0.5000  0.1980  0.3960
In  0.5000  0.6040  0.8020
Au  0.5000  0.7939  0.2061
Rb  0.0000  0.0000  0.0000
In  0.0000  0.9305  0.4653

Output
E_form: -24 kJ/mol of atoms

=====

DFT (PBE) results for TbOF after structural relaxation.

a = 6.7772 Å, b = 6.7772 Å, c = 6.7772 Å
α = 32.95°, β = 32.95°, γ = 32.95°
Sites, in units of the cell vectors:
O  0.3781  0.3781  0.3781
O  0.6219  0.6219  0.6219
F  0.8701  0.8701  0.8701
F  0.1299  0.1299  0.1299
Tb  0.7410  0.7410  0.7410
Tb  0.2590  0.2590  0.2590

Output
E_form: -411 kJ/mol of atoms

=====

DFT (PBE) results for KSi3As3 after structural relaxation.

a = 3.7176 Å, b = 10.1517 Å, c = 19.4501 Å
α = 90.00°, β = 90.00°, γ = 90.00°
Sites, in units of the cell vectors:
Si  0.0000  0.6118  0.4848
As  0.5000  0.6008  0.3034
Si  0.0000  0.1118  0.0152
As  0.5000  0.2811  0.4593
K  0.0000  0.6960  0.6952
As  0.5000  0.7811  0.0407
Si  0.5000  0.9074  0.4639
K  0.0000  0.3040  0.3048
Si  0.5000  0.0926  0.5361
Si  0.0000  0.3256  0.6316
As  0.5000  0.2189  0.9593
As  0.0000  0.4132  0.1147
As  0.5000  0.8992  0.8034
As  0.0000  0.0868  0.6147
As  0.5000  0.1008  0.1966
K  0.0000  0.8040  0.1952
As  0.5000  0.3992  0.6966
Si  0.0000  0.8256  0.8684
As  0.5000  0.7189  0.5407
Si  0.0000  0.3882  0.5152
Si  0.0000  0.1744  0.1316
K  0.0000  0.1960  0.8048
Si  0.5000  0.4074  0.0361
Si  0.5000  0.5926  0.9639
As  0.0000  0.5868  0.8853
Si  0.0000  0.6744  0.3684
As  0.0000  0.9132  0.3853
Si  0.0000  0.8882  0.9848

Output
E_form: -25 kJ/mol of atoms

=====

DFT (PBE) results for SrSc2S4 after structural relaxation.

a = 3.8043 Å, b = 11.7261 Å, c = 13.7447 Å
α = 90.00°, β = 90.00°, γ = 90.00°
Sites, in units of the cell vectors:
S  0.2500  0.5861  0.5750
Sc  0.7500  0.4400  0.6095
Sr  0.7500  0.2609  0.8335
S  0.2500  0.7964  0.8399
S  0.2500  0.3774  0.9731
Sr  0.2500  0.2391  0.3335
S  0.7500  0.6226  0.0269
S  0.2500  0.0861  0.9250
S  0.7500  0.0279  0.7157
Sc  0.2500  0.0600  0.1095
Sc  0.2500  0.0808  0.5985
S  0.7500  0.2036  0.1601
Sr  0.7500  0.7609  0.6665
S  0.7500  0.1226  0.4731
S  0.2500  0.9721  0.2843
S  0.7500  0.9139  0.0750
S  0.7500  0.4139  0.4250
Sr  0.2500  0.7391  0.1665
S  0.2500  0.2964  0.6601
Sc  0.2500  0.5808  0.9015
S  0.2500  0.4721  0.2157
Sc  0.2500  0.5600  0.3905
Sc  0.7500  0.9192  0.4015
S  0.7500  0.7036  0.3399
S  0.2500  0.8774  0.5269
Sc  0.7500  0.9400  0.8905
Sc  0.7500  0.4192  0.0985
S  0.7500  0.5279  0.7843

Output
E_form: -221 kJ/mol of atoms

=====

DFT (PBE) results for PrTe2 after structural relaxation.

a = 4.5249 Å, b = 4.5249 Å, c = 9.2467 Å
α = 90.00°, β = 90.00°, γ = 90.00°
Sites, in units of the cell vectors:
Te  0.0000  0.5000  0.3694
Pr  0.5000  0.0000  0.2723
Te  0.5000  0.0000  0.6306
Te  0.5000  0.5000  0.0000
Pr  0.0000  0.5000  0.7277
Te  0.0000  0.0000  0.0000

Output
E_form: -150 kJ/mol of atoms

=====

DFT (PBE) results for HoPaRu2 after structural relaxation.

a = 4.8355 Å, b = 4.8355 Å, c = 4.8355 Å
α = 60.00°, β = 60.00°, γ = 60.00°
Sites, in units of the cell vectors:
Ho  0.5000  0.5000  0.5000
Ru  0.7500  0.7500  0.7500
Ru  0.2500  0.2500  0.2500
Pa  0.0000  0.0000  0.0000

Output
E_form: -41 kJ/mol of atoms

=====

DFT (PBE) results for Ba7Cl2F12 after structural relaxation.

a = 10.7995 Å, b = 10.7995 Å, c = 4.2355 Å
α = 90.00°, β = 90.00°, γ = 120.00°
Sites, in units of the cell vectors:
F  0.7877  0.1780  0.0000
Ba  0.0775  0.6356  0.0000
F  0.8814  0.4290  0.5000
Ba  0.6667  0.3333  0.0000
F  0.2298  0.2850  0.5000
F  0.3003  0.9032  0.0000
Ba  0.7790  0.7332  0.5000
Ba  0.3644  0.4420  0.0000
Ba  0.9542  0.2210  0.5000
F  0.6029  0.6997  0.0000
Ba  0.5580  0.9225  0.0000
F  0.0553  0.7702  0.5000
F  0.8220  0.6098  0.0000
Cl  0.0000  0.0000  0.0000
F  0.0968  0.3971  0.0000
F  0.3902  0.2123  0.0000
Ba  0.2668  0.0458  0.5000
F  0.7150  0.9447  0.5000
F  0.5710  0.4524  0.5000
F  0.5476  0.1186  0.5000
Cl  0.3333  0.6667  0.5000

Output
E_form: -379 kJ/mol of atoms

=====

DFT (PBE) results for La5Se6N after structural relaxation.

a = 26.8302 Å, b = 26.8302 Å, c = 7.9243 Å
α = 89.34°, β = 89.34°, γ = 27.59°
Sites, in units of the cell vectors:
La  0.2885  0.5462  0.8222
La  0.7136  0.4516  0.1777
Se  0.9004  0.2545  0.9712
N  0.9896  0.4106  0.3303
La  0.8674  0.9825  0.1552
La  0.2985  0.0122  0.8656
Se  0.4651  0.3223  0.6797
Se  0.6298  0.7417  0.3245
Se  0.1003  0.7488  0.0319
La  0.4323  0.5688  0.7465
La  0.4330  0.1561  0.3302
Se  0.1234  0.1208  0.6185
La  0.0597  0.6711  0.1743
Se  0.2545  0.9004  0.4712
Se  0.7488  0.1003  0.5319
Se  0.2826  0.7861  0.8163
La  0.5662  0.8439  0.6694
La  0.6711  0.0597  0.6743
La  0.1254  0.8532  0.9920
La  0.5688  0.4323  0.2465
La  0.9877  0.7006  0.6354
La  0.3564  0.7523  0.1859
Se  0.1009  0.9733  0.1423
La  0.9599  0.4508  0.6286
Se  0.1890  0.5211  0.8424
Se  0.4666  0.4462  0.5200
La  0.4315  0.2783  0.9702
N  0.4106  0.9896  0.8303
La  0.5677  0.7220  0.0303
Se  0.1488  0.6490  0.5227
N  0.5886  0.0910  0.8948
Se  0.4462  0.4666  0.0200
Se  0.6532  0.8363  0.9693
Se  0.1208  0.1234  0.1185
Se  0.8112  0.4792  0.1576
La  0.7006  0.9877  0.1354
Se  0.6762  0.5363  0.8204
La  0.7220  0.5677  0.5303
N  0.9087  0.4120  0.6045
La  0.9411  0.3274  0.8279
Se  0.8804  0.8762  0.8822
Se  0.8511  0.3503  0.4777
Se  0.0249  0.9023  0.3506
Se  0.8363  0.6532  0.4693
Se  0.2584  0.3707  0.1757
La  0.0395  0.5489  0.3717
La  0.5489  0.0395  0.8717
Se  0.7861  0.2826  0.3163
La  0.2783  0.4315  0.4702
Se  0.2131  0.7160  0.6919
Se  0.1131  0.2626  0.8966
La  0.1451  0.3028  0.2159
N  0.0107  0.5895  0.6692
La  0.4516  0.7136  0.6777
Se  0.3707  0.2584  0.6757
Se  0.8873  0.7376  0.1037
La  0.3274  0.9411  0.3279
Se  0.3503  0.8511  0.9777
La  0.3028  0.1451  0.7159
La  0.7523  0.3564  0.6859
La  0.8439  0.5662  0.1694
La  0.5462  0.2885  0.3222
Se  0.9733  0.1009  0.6423
N  0.4120  0.9087  0.1045
Se  0.8762  0.8804  0.3822
Se  0.5561  0.5295  0.9795
Se  0.6490  0.1488  0.0227
La  0.0122  0.2985  0.3656
N  0.0910  0.5886  0.3948
Se  0.7376  0.8873  0.6037
Se  0.7417  0.6298  0.8245
Se  0.0000  0.5004  0.0005
Se  0.7160  0.2131  0.1919
La  0.4508  0.9599  0.1286
Se  0.3185  0.6793  0.2386
Se  0.5363  0.6762  0.3204
La  0.1290  0.0184  0.8414
Se  0.1645  0.3470  0.5302
La  0.0184  0.1290  0.3414
Se  0.2626  0.1131  0.3966
Se  0.5211  0.1890  0.3424
La  0.8532  0.1254  0.4920
La  0.9825  0.8674  0.6552
La  0.6362  0.2541  0.8245
Se  0.5004  0.0000  0.5005
La  0.8547  0.6967  0.7842
Se  0.5295  0.5561  0.4795
N  0.5895  0.0107  0.1692
Se  0.4792  0.8112  0.6576
Se  0.3470  0.1645  0.0302
Se  0.3223  0.4651  0.1797
La  0.2541  0.6362  0.3245
Se  0.6793  0.3185  0.7386
Se  0.9023  0.0249  0.8506
La  0.1561  0.4330  0.8302
La  0.6967  0.8547  0.2842

Output
E_form: -194 kJ/mol of atoms